GGA-PBE ErInPt, relaxed; space group = P-62m (189); ΔH_f (0 K) = -994 meV/atom
1.0
7.669 0.000 0.000
-3.834 6.641 0.000
0.000 0.000 3.829
Er In Pt
3 3 3
Direct
0.000 0.405 0.000
0.405 0.000 0.000
0.595 0.595 0.000
0.000 0.738 0.500
0.262 0.262 0.500
0.738 0.000 0.500
0.000 0.000 0.000
0.333 0.667 0.500
0.667 0.333 0.500